No. 1
PrNiSn: relaxed, PBE.

a b c (Å): 7.6201 4.6512 7.4976
angles (deg): 90.00 90.00 90.00
Space group Pnma (No. 62)
Asymmetric unit:
Pr: 0.0259 0.2500 0.1927 (multiplicity 4)
Ni: 0.1796 0.7500 0.4218 (multiplicity 4)
Sn: 0.1832 0.2500 0.5963 (multiplicity 4)

As for the total energy: -0.20089 hartree per atom. As for the density: 8.0 g/cm³. Its crystal system is orthorhombic.

***

No. 2
Pr9Ni24Sn49: relaxed, PBE.

a b c (Å): 16.9343 12.0039 17.1386
angles (deg): 90.00 90.23 90.00
Space group C2/m (No. 12)
Asymmetric unit:
Pr: 0.0000 0.0000 0.0000 (multiplicity 2)
Pr: 0.0001 0.2492 0.2495 (multiplicity 8)
Pr: 0.2500 0.2500 0.0000 (multiplicity 4)
Pr: 0.2500 0.2500 0.5000 (multiplicity 4)
Ni: 0.0803 0.3216 0.0802 (multiplicity 8)
Ni: 0.0806 0.0000 0.2398 (multiplicity 4)
Ni: 0.0807 0.1776 0.5801 (multiplicity 8)
Ni: 0.0810 0.5000 0.7407 (multiplicity 4)
Ni: 0.1602 0.3390 0.3391 (multiplicity 8)
Ni: 0.1608 0.1608 0.8394 (multiplicity 8)
Ni: 0.2403 0.0000 0.0795 (multiplicity 4)
Ni: 0.2405 0.5000 0.5799 (multiplicity 4)
Sn: 0.0003 0.5000 0.1310 (multiplicity 4)
Sn: 0.0000 0.5000 0.5000 (multiplicity 2)
Sn: 0.0012 0.0000 0.3703 (multiplicity 4)
Sn: 0.0594 0.5000 0.3142 (multiplicity 4)
Sn: 0.0634 0.0000 0.8064 (multiplicity 4)
Sn: 0.0626 0.2544 0.4369 (multiplicity 8)
Sn: 0.0649 0.2553 0.9356 (multiplicity 8)
Sn: 0.1218 0.3740 0.6225 (multiplicity 8)
Sn: 0.1277 0.5000 0.9977 (multiplicity 4)
Sn: 0.1296 0.0000 0.4986 (multiplicity 4)
Sn: 0.1302 0.1315 0.1300 (multiplicity 8)
Sn: 0.1831 0.5000 0.4414 (multiplicity 4)
Sn: 0.1841 0.3720 0.1857 (multiplicity 8)
Sn: 0.1858 0.1282 0.6839 (multiplicity 8)
Sn: 0.1859 0.1302 0.3157 (multiplicity 8)
Sn: 0.1860 0.3692 0.8127 (multiplicity 8)
Sn: 0.1949 0.0000 0.9362 (multiplicity 4)

The value obtained for the magnetization is 0.1 μB per cell. As for the total energy: -0.18280 hartree per atom. As for the density: 8.1 g/cm³. Its crystal system is monoclinic.

***

No. 3
Pr6Ni3Sn14: relaxed, PBE.

a b c (Å): 4.5853 4.5948 27.6939
angles (deg): 90.00 90.00 90.00
Space group Pmm2 (No. 25)
Asymmetric unit:
Pr: 0.0000 0.0000 0.0000 (multiplicity 1)
Pr: 0.0000 0.0000 0.3706 (multiplicity 1)
Pr: 0.0000 0.5000 0.4998 (multiplicity 1)
Pr: 0.0000 0.5000 0.8704 (multiplicity 1)
Pr: 0.5000 0.0000 0.6831 (multiplicity 1)
Pr: 0.5000 0.5000 0.1852 (multiplicity 1)
Ni: 0.5000 0.0000 0.5561 (multiplicity 1)
Ni: 0.5000 0.5000 0.0567 (multiplicity 1)
Ni: 0.5000 0.5000 0.3142 (multiplicity 1)
Sn: 0.0000 0.0000 0.1852 (multiplicity 1)
Sn: 0.0000 0.0000 0.5949 (multiplicity 1)
Sn: 0.0000 0.0000 0.7782 (multiplicity 1)
Sn: 0.0000 0.5000 0.0953 (multiplicity 1)
Sn: 0.0000 0.5000 0.2751 (multiplicity 1)
Sn: 0.0000 0.5000 0.6856 (multiplicity 1)
Sn: 0.5000 0.0000 0.0953 (multiplicity 1)
Sn: 0.5000 0.0000 0.2750 (multiplicity 1)
Sn: 0.5000 0.0000 0.4664 (multiplicity 1)
Sn: 0.5000 0.0000 0.8986 (multiplicity 1)
Sn: 0.5000 0.5000 0.4040 (multiplicity 1)
Sn: 0.5000 0.5000 0.5950 (multiplicity 1)
Sn: 0.5000 0.5000 0.7788 (multiplicity 1)
Sn: 0.5000 0.5000 0.9662 (multiplicity 1)

As for the total energy: -0.18463 hartree per atom. As for the density: 7.6 g/cm³. Its crystal system is orthorhombic.

***

No. 4
PrNiSn: relaxed, PBE.

a b c (Å): 7.4680 7.4680 4.0744
angles (deg): 90.00 90.00 120.00
Space group P-62m (No. 189)
Asymmetric unit:
Pr: 0.0000 0.5886 0.0000 (multiplicity 3)
Ni: 0.0000 0.0000 0.0000 (multiplicity 1)
Ni: 0.3333 0.6667 0.5000 (multiplicity 2)
Sn: 0.0000 0.2494 0.5000 (multiplicity 3)

As for the total energy: -0.20067 hartree per atom. As for the density: 8.1 g/cm³. Its crystal system is hexagonal.

***

No. 5
PrNi5Sn: relaxed, PBE.

a b c (Å): 4.9313 4.9313 19.7481
angles (deg): 90.00 90.00 120.00
Space group P6_3/mmc (No. 194)
Asymmetric unit:
Pr: 0.0000 0.0000 0.0000 (multiplicity 2)
Pr: 0.3333 0.6667 0.2500 (multiplicity 2)
Ni: 0.0000 0.0000 0.2500 (multiplicity 2)
Ni: 0.1657 0.3313 0.6460 (multiplicity 12)
Ni: 0.3333 0.6667 0.5434 (multiplicity 4)
Ni: 0.3333 0.6667 0.7500 (multiplicity 2)
Sn: 0.3333 0.6667 0.0876 (multiplicity 4)

The value obtained for the magnetization is 0.8 μB per cell. As for the total energy: -0.20961 hartree per atom. As for the density: 8.8 g/cm³. Its crystal system is hexagonal.

***

No. 6
PrNi4Sn2: relaxed, PBE.

a b c (Å): 7.6978 7.6978 7.8643
angles (deg): 90.00 90.00 90.00
Space group I4/mcm (No. 140)
Asymmetric unit:
Pr: 0.0000 0.0000 0.2500 (multiplicity 4)
Ni: 0.1368 0.3632 0.1633 (multiplicity 16)
Sn: 0.1606 0.3394 0.5000 (multiplicity 8)

The value obtained for the magnetization is 0.0 μB per cell. As for the total energy: -0.20346 hartree per atom. As for the density: 8.7 g/cm³. Its crystal system is tetragonal.

***

No. 7
PrZnNi: relaxed, PBE.

a b c (Å): 7.2275 7.2275 3.8964
angles (deg): 90.00 90.00 120.00
Space group P-62m (No. 189)
Asymmetric unit:
Pr: 0.0000 0.5870 0.0000 (multiplicity 3)
Zn: 0.0000 0.2331 0.5000 (multiplicity 3)
Ni: 0.0000 0.0000 0.0000 (multiplicity 1)
Ni: 0.3333 0.6667 0.5000 (multiplicity 2)

As for the total energy: -0.15827 hartree per atom. As for the density: 7.5 g/cm³. Its crystal system is hexagonal.

***

No. 8
Sc2NiPt: relaxed, PBE.

a b c (Å): 6.4924 6.4924 6.4924
angles (deg): 90.00 90.00 90.00
Space group Fm-3m (No. 225)
Asymmetric unit:
Sc: 0.2500 0.2500 0.2500 (multiplicity 8)
Ni: 0.0000 0.0000 0.0000 (multiplicity 4)
Pt: 0.0000 0.0000 0.5000 (multiplicity 4)

As for the total energy: -0.25774 hartree per atom. As for the density: 8.3 g/cm³. Its crystal system is cubic.

***

No. 9
Ni3Sn4Pt2: relaxed, PBE.

a b c (Å): 4.2119 4.2119 10.6202
angles (deg): 90.00 90.00 120.00
Space group P3m1 (No. 156)
Asymmetric unit:
Ni: 0.0000 0.0000 0.0000 (multiplicity 1)
Ni: 0.0000 0.0000 0.4992 (multiplicity 1)
Ni: 0.6667 0.3333 0.8810 (multiplicity 1)
Sn: 0.3333 0.6667 0.3835 (multiplicity 1)
Sn: 0.3333 0.6667 0.8868 (multiplicity 1)
Sn: 0.6667 0.3333 0.1279 (multiplicity 1)
Sn: 0.6667 0.3333 0.6151 (multiplicity 1)
Pt: 0.0000 0.0000 0.2521 (multiplicity 1)
Pt: 0.0000 0.0000 0.7455 (multiplicity 1)

The value obtained for the magnetization is 0.0 μB per cell. As for the total energy: -0.19918 hartree per atom. As for the density: 10.6 g/cm³. Its crystal system is trigonal.

***

No. 10
PuNi4: relaxed, PBE.

a b c (Å): 4.8774 8.4373 10.1297
angles (deg): 90.00 99.28 90.00
Space group C2/m (No. 12)
Asymmetric unit:
Pu: 0.0000 0.0000 0.0000 (multiplicity 2)
Pu: 0.1261 0.0000 0.3562 (multiplicity 4)
Ni: 0.0000 0.3348 0.0000 (multiplicity 4)
Ni: 0.0691 0.5000 0.2014 (multiplicity 4)
Ni: 0.1353 0.3293 0.4056 (multiplicity 8)
Ni: 0.1815 0.2495 0.8012 (multiplicity 8)

The value obtained for the magnetization is 22.8 μB per cell. As for the total energy: -0.28260 hartree per atom. As for the density: 11.6 g/cm³. Its crystal system is monoclinic.

***

No. 11
Pu2Ni2Sn: relaxed, PBE.

a b c (Å): 7.1156 7.1156 3.9025
angles (deg): 90.00 90.00 90.00
Space group P4/mbm (No. 127)
Asymmetric unit:
Pu: 0.1747 0.3253 0.0000 (multiplicity 4)
Ni: 0.1233 0.6233 0.5000 (multiplicity 4)
Sn: 0.0000 0.0000 0.5000 (multiplicity 2)

As for the total energy: -0.33598 hartree per atom. As for the density: 12.2 g/cm³. Its crystal system is tetragonal.

***

No. 12
Rb2Ni3S4: relaxed, PBE.

a b c (Å): 5.9062 10.0645 13.4346
angles (deg): 90.00 90.00 90.00
Space group Fmmm (No. 69)
Asymmetric unit:
Rb: 0.0000 0.0000 0.1585 (multiplicity 8)
Ni: 0.0000 0.0000 0.5000 (multiplicity 4)
Ni: 0.2500 0.2500 0.0000 (multiplicity 8)
S: 0.0000 0.1673 0.3935 (multiplicity 16)

As for the total energy: -0.17298 hartree per atom. As for the density: 4.0 g/cm³. Its crystal system is orthorhombic.